# GGA-PBE Sc2Ti2SiS5O24, optimized geometry
# * DFT formation energy: -2.5979 eV/atom
data_Sc2Ti2SiS5O24
_symmetry_space_group_name_H-M 'P 1'
_symmetry_Int_Tables_number 1
_cell_length_a 8.769
_cell_length_b 8.780
_cell_length_c 22.671
_cell_angle_alpha 89.79
_cell_angle_beta 89.94
_cell_angle_gamma 60.07
loop_
_symmetry_equiv_pos_as_xyz
'x,y,z'
loop_
_atom_site_label
_atom_site_fract_x
_atom_site_fract_y
_atom_site_fract_z
_atom_site_occupancy
Sc1 0.000 0.000 0.000 1
Sc2 0.003 0.992 0.206 1
Sc3 0.324 0.329 0.877 1
Sc4 0.332 0.327 0.380 1
Sc5 0.660 0.663 0.829 1
Sc6 0.984 0.992 0.707 1
Ti1 0.328 0.318 0.164 1
Ti2 0.334 0.320 0.661 1
Ti3 0.652 0.671 0.043 1
Ti4 0.653 0.662 0.543 1
Ti5 0.660 0.651 0.333 1
Ti6 0.969 0.006 0.496 1
Si1 0.282 0.995 0.103 1
Si2 0.661 0.378 0.438 1
Si3 0.704 0.991 0.603 1
S1 0.035 0.336 0.270 1
S2 0.043 0.611 0.769 1
S3 0.280 0.705 0.603 1
S4 0.324 0.046 0.769 1
S5 0.329 0.614 0.271 1
S6 0.373 0.940 0.437 1
S7 0.375 0.662 0.937 1
S8 0.608 0.330 0.769 1
S9 0.611 0.038 0.270 1
S10 0.660 0.946 0.937 1
S11 0.696 0.291 0.103 1
S12 0.938 0.667 0.437 1
S13 0.941 0.379 0.937 1
S14 0.993 0.285 0.602 1
S15 0.993 0.699 0.103 1
O1 0.005 0.187 0.261 1
O2 0.027 0.777 0.051 1
O3 0.028 0.786 0.763 1
O4 0.029 0.171 0.550 1
O5 0.110 0.510 0.429 1
O6 0.118 0.360 0.931 1
O7 0.120 0.363 0.217 1
O8 0.128 0.502 0.716 1
O9 0.142 0.306 0.323 1
O10 0.149 0.529 0.823 1
O11 0.150 0.308 0.612 1
O12 0.150 0.523 0.115 1
O13 0.163 0.037 0.045 1
O14 0.169 0.027 0.760 1
O15 0.170 0.785 0.550 1
O16 0.173 0.790 0.263 1
O17 0.199 0.815 0.945 1
O18 0.201 0.951 0.446 1
O19 0.203 0.956 0.161 1
O20 0.209 0.814 0.656 1
O21 0.299 0.152 0.822 1
O22 0.300 0.528 0.613 1
O23 0.303 0.532 0.323 1
O24 0.312 0.165 0.119 1
O25 0.350 0.134 0.716 1
O26 0.352 0.115 0.429 1
O27 0.361 0.505 0.218 1
O28 0.362 0.501 0.931 1
O29 0.455 0.690 0.884 1
O30 0.459 0.830 0.384 1
O31 0.460 0.680 0.593 1
O32 0.481 0.827 0.088 1
O33 0.485 0.872 0.775 1
O34 0.486 0.861 0.490 1
O35 0.487 0.637 0.990 1
O36 0.489 0.636 0.279 1
O37 0.494 0.354 0.429 1
O38 0.496 0.127 0.217 1
O39 0.496 0.355 0.716 1
O40 0.499 0.119 0.931 1
O41 0.508 0.167 0.616 1
O42 0.516 0.319 0.115 1
O43 0.528 0.302 0.822 1
O44 0.530 0.149 0.322 1
O45 0.621 0.491 0.775 1
O46 0.624 0.865 0.278 1
O47 0.635 0.858 0.990 1
O48 0.640 0.502 0.494 1
O49 0.673 0.829 0.586 1
O50 0.677 0.468 0.092 1
O51 0.685 0.839 0.884 1
O52 0.691 0.475 0.379 1
O53 0.768 0.179 0.051 1
O54 0.785 0.019 0.259 1
O55 0.785 0.176 0.762 1
O56 0.798 0.029 0.545 1
O57 0.807 0.214 0.156 1
O58 0.815 0.965 0.947 1
O59 0.822 0.957 0.660 1
O60 0.826 0.702 0.383 1
O61 0.835 0.462 0.883 1
O62 0.840 0.463 0.592 1
O63 0.841 0.672 0.092 1
O64 0.843 0.187 0.448 1
O65 0.855 0.641 0.490 1
O66 0.857 0.488 0.990 1
O67 0.859 0.501 0.278 1
O68 0.867 0.630 0.775 1
O69 0.952 0.813 0.156 1
O70 0.956 0.205 0.943 1
O71 0.960 0.210 0.655 1
O72 0.961 0.823 0.445 1